[1]
Compound: NdMn2
Source: the Materials Project
Functional: PBE-GGA
Structure: optimized geometry

Unit cell a=5.548 b=5.548 c=8.368 alpha=90.00 beta=90.00 gamma=120.00
Fractional coordinates of all 12 atoms:
Nd1 0.333 0.667 0.058
Nd2 0.667 0.333 0.942
Nd3 0.333 0.667 0.442
Nd4 0.667 0.333 0.558
Mn1 0.000 0.000 0.500
Mn2 0.000 0.000 0.000
Mn3 0.838 0.676 0.250
Mn4 0.162 0.324 0.750
Mn5 0.324 0.162 0.250
Mn6 0.162 0.838 0.750
Mn7 0.676 0.838 0.750
Mn8 0.838 0.162 0.250

Computed properties:
SG   P6_3/mmc (194)
ρ   7.57 g/cm3
Calculated volume   18.59 A^3/atom
Final energy   -87.13 eV per cell
DFT formation energy   10.063 kcal/mol of atoms



[2]
Compound: NdMn12
Source: the Materials Project
Functional: PBE-GGA
Structure: optimized geometry

Unit cell a=4.724 b=6.371 c=6.371 alpha=82.10 beta=68.24 gamma=68.24
Fractional coordinates of all 13 atoms:
Nd1 0.000 0.000 0.000
Mn1 0.733 0.767 0.767
Mn2 0.500 0.000 0.500
Mn3 0.000 0.500 0.000
Mn4 0.500 0.500 0.000
Mn5 0.000 0.000 0.500
Mn6 0.367 0.633 0.633
Mn7 0.000 0.367 0.633
Mn8 0.000 0.633 0.367
Mn9 0.633 0.367 0.367
Mn10 0.267 0.233 0.233
Mn11 0.500 0.767 0.233
Mn12 0.500 0.233 0.767

Computed properties:
SG   I4/mmm (139)
ρ   8.07 g/cm3
Calculated volume   12.72 A^3/atom
Final energy   -114.04 eV per cell
DFT formation energy   1.191 kcal/mol of atoms



[3]
Compound: Nd6Mn16Ni7
Source: the Materials Project
Functional: PBE-GGA
Structure: optimized geometry

Unit cell a=8.758 b=8.758 c=8.758 alpha=60.00 beta=60.00 gamma=60.00
Fractional coordinates of all 29 atoms:
Nd1 0.705 0.705 0.295
Nd2 0.295 0.705 0.295
Nd3 0.705 0.295 0.295
Nd4 0.295 0.295 0.705
Nd5 0.705 0.295 0.705
Nd6 0.295 0.705 0.705
Mn1 0.880 0.880 0.361
Mn2 0.880 0.361 0.880
Mn3 0.361 0.880 0.880
Mn4 0.880 0.880 0.880
Mn5 0.120 0.120 0.639
Mn6 0.120 0.639 0.120
Mn7 0.639 0.120 0.120
Mn8 0.120 0.120 0.120
Mn9 0.678 0.678 0.967
Mn10 0.678 0.967 0.678
Mn11 0.967 0.678 0.678
Mn12 0.678 0.678 0.678
Mn13 0.322 0.322 0.033
Mn14 0.322 0.033 0.322
Mn15 0.033 0.322 0.322
Mn16 0.322 0.322 0.322
Ni1 0.000 0.000 0.000
Ni2 0.000 0.000 0.500
Ni3 0.500 0.000 0.500
Ni4 0.000 0.500 0.500
Ni5 0.500 0.500 0.000
Ni6 0.000 0.500 0.000
Ni7 0.500 0.000 0.000

Computed properties:
SG   Fm-3m (225)
ρ   7.53 g/cm3
Calculated volume   16.38 A^3/atom
Final energy   -214.51 eV per cell
DFT formation energy   0.918 kcal/mol of atoms



[4]
Compound: Nd6MnS10
Source: the Materials Project
Functional: PBE-GGA
Structure: optimized geometry

Unit cell a=7.387 b=7.427 c=30.364 alpha=94.52 beta=94.93 gamma=108.41
Fractional coordinates of all 68 atoms:
Nd1 0.825 0.197 0.028
Nd2 0.995 0.634 0.127
Nd3 0.434 0.797 0.224
Nd4 0.468 0.609 0.075
Nd5 0.603 0.236 0.327
Nd6 0.024 0.382 0.431
Nd7 0.062 0.196 0.271
Nd8 0.406 0.266 0.173
Nd9 0.186 0.826 0.524
Nd10 0.634 0.007 0.624
Nd11 0.013 0.879 0.373
Nd12 0.677 0.810 0.473
Nd13 0.421 0.670 0.349
Nd14 0.803 0.430 0.724
Nd15 0.225 0.599 0.827
Nd16 0.597 0.458 0.570
Nd17 0.269 0.396 0.670
Nd18 0.403 0.020 0.925
Nd19 0.189 0.076 0.779
Nd20 0.629 0.876 0.754
Nd21 0.080 0.823 0.649
Nd22 0.805 0.685 0.974
Nd23 0.213 0.455 0.950
Nd24 0.683 0.428 0.853
Mn1 0.827 0.077 0.148
Mn2 0.278 0.032 0.051
Mn3 0.877 0.619 0.247
Mn4 0.472 0.239 0.458
S1 0.761 0.883 0.297
S2 0.664 0.642 0.177
S3 0.272 0.914 0.300
S4 0.086 0.975 0.195
S5 0.842 0.869 0.079
S6 0.372 0.493 0.495
S7 0.076 0.578 0.030
S8 0.372 0.888 0.125
S9 0.265 0.265 0.372
S10 0.848 0.509 0.498
S11 0.711 0.570 0.396
S12 0.175 0.293 0.098
S13 0.443 0.447 0.270
S14 0.690 0.168 0.223
S15 0.092 0.483 0.204
S16 0.679 0.292 0.105
S17 0.981 0.497 0.320
S18 0.847 0.840 0.572
S19 0.303 0.142 0.600
S20 0.059 0.049 0.467
S21 0.891 0.397 0.631
S22 0.275 0.757 0.426
S23 0.682 0.063 0.401
S24 0.562 0.084 0.522
S25 0.459 0.456 0.771
S26 0.902 0.742 0.799
S27 0.654 0.666 0.673
S28 0.316 0.667 0.600
S29 0.193 0.687 0.729
S30 0.084 0.059 0.982
S31 0.513 0.376 0.002
S32 0.959 0.099 0.699
S33 0.268 0.263 0.870
S34 0.474 0.982 0.829
S35 0.900 0.260 0.798
S36 0.460 0.101 0.702
S37 0.788 0.289 0.932
S38 0.542 0.697 0.901
S39 0.486 0.867 0.004
S40 0.056 0.692 0.902

Computed properties:
SG   P1 (1)
ρ   5.27 g/cm3
Calculated volume   23.01 A^3/atom
Corrected total energy (MP2020 scheme)   -6.785 eV/atom
Final energy   -441.25 eV per cell
DFT formation energy   -49.114 kcal/mol of atoms